[1]
The following is a DFT calculation (meta-GGA r2SCAN) of crystalline Tb3Pt4 at its relaxed geometry.

## Properties
Symmetry   P-1 (2)
ρ   14.479 g cm⁻³
ΔE_f   -1340 meV per atom

Lattice parameters (Å, degrees): 5.709 7.872 7.876 114.42 104.00 104.01
Element x y z (fractional)
1 Tb 0.280 0.252 0.875
2 Tb 0.405 0.124 0.376
3 Tb 0.029 0.623 0.748
4 Tb 0.720 0.748 0.125
5 Tb 0.595 0.876 0.624
6 Tb 0.971 0.377 0.252
7 Pt 0.774 0.328 0.835
8 Pt 0.226 0.672 0.165
9 Pt 0.000 0.000 0.000
10 Pt 0.060 0.835 0.506
11 Pt 0.500 0.000 0.000
12 Pt 0.554 0.493 0.328
13 Pt 0.940 0.165 0.494
14 Pt 0.446 0.507 0.672

---

[2]
The following is a DFT calculation (meta-GGA r2SCAN) of crystalline TbYbPt2 at its relaxed geometry.

## Properties
Symmetry   Fm-3m (225)
ρ   14.593 g cm⁻³
ΔE_f   -1356 meV per atom

Lattice parameters (Å, degrees): 4.880 4.880 4.880 60.00 60.00 60.00
Element x y z (fractional)
1 Yb 0.000 0.000 0.000
2 Pt 0.250 0.250 0.250
3 Pt 0.750 0.750 0.750
4 Tb 0.500 0.500 0.500

---

[3]
The following is a DFT calculation (meta-GGA r2SCAN) of crystalline Ti2TcPt at its relaxed geometry.

## Properties
Symmetry   Fm-3m (225)
ρ   10.707 g cm⁻³
ΔE_f   -810 meV per atom

Lattice parameters (Å, degrees): 4.402 4.402 4.402 60.00 60.00 60.00
Element x y z (fractional)
1 Ti 0.500 0.500 0.500
2 Ti 0.000 0.000 0.000
3 Pt 0.250 0.250 0.250
4 Tc 0.750 0.750 0.750

---

[4]
The following is a DFT calculation (meta-GGA r2SCAN) of crystalline Te4Pt3 at its relaxed geometry.

## Properties
Symmetry   R-3m (166)
ρ   10.637 g cm⁻³
ΔE_f   -433 meV per atom

Lattice parameters (Å, degrees): 4.006 4.006 12.527 80.84 80.84 59.96
Element x y z (fractional)
1 Te 0.796 0.796 0.613
2 Te 0.204 0.204 0.387
3 Te 0.947 0.947 0.159
4 Te 0.053 0.053 0.841
5 Pt 0.353 0.353 0.940
6 Pt 0.647 0.647 0.060
7 Pt 0.500 0.500 0.500

---

[5]
The following is a DFT calculation (meta-GGA r2SCAN) of crystalline TePt at its relaxed geometry.

## Properties
Symmetry   R-3m (166)
ρ   11.320 g cm⁻³
ΔE_f   -401 meV per atom

Lattice parameters (Å, degrees): 7.293 7.293 7.293 31.62 31.62 31.62
Element x y z (fractional)
1 Te 0.095 0.095 0.095
2 Te 0.905 0.905 0.905
3 Pt 0.369 0.369 0.369
4 Pt 0.631 0.631 0.631

---

[6]
The following is a DFT calculation (meta-GGA r2SCAN) of crystalline ThPt2 at its relaxed geometry.

## Properties
Symmetry   I4/mmm (139)
ρ   16.333 g cm⁻³
ΔE_f   -1345 meV per atom

Lattice parameters (Å, degrees): 4.188 4.188 7.799 105.61 105.61 89.96
Element x y z (fractional)
1 Pt 0.000 0.500 0.000
2 Pt 0.135 0.135 0.271
3 Pt 0.865 0.865 0.729
4 Pt 0.500 0.000 0.000
5 Th 0.344 0.344 0.687
6 Th 0.656 0.656 0.313

---

[7]
The following is a DFT calculation (meta-GGA r2SCAN) of crystalline TiPt8 at its relaxed geometry.

## Properties
Symmetry   I4/mmm (139)
ρ   19.537 g cm⁻³
ΔE_f   -495 meV per atom

Lattice parameters (Å, degrees): 3.912 6.228 6.228 84.35 71.66 71.66
Element x y z (fractional)
1 Pt 0.662 0.676 0.000
2 Pt 0.338 0.324 0.000
3 Pt 0.670 0.329 0.329
4 Pt 0.000 0.671 0.329
5 Pt 0.338 0.000 0.324
6 Pt 0.662 0.000 0.676
7 Pt 0.000 0.329 0.671
8 Pt 0.330 0.671 0.671
9 Ti 0.000 0.000 0.000

---

[8]
The following is a DFT calculation (meta-GGA r2SCAN) of crystalline Ti3Pt5 at its relaxed geometry.

## Properties
Symmetry   Ibam (72)
ρ   15.073 g cm⁻³
ΔE_f   -1027 meV per atom

Lattice parameters (Å, degrees): 5.453 7.387 7.387 67.65 68.34 68.34
Element x y z (fractional)
1 Ti 0.563 0.145 0.145
2 Ti 0.146 0.645 0.645
3 Ti 0.000 0.250 0.750
4 Ti 0.854 0.355 0.355
5 Ti 0.437 0.855 0.855
6 Ti 0.000 0.750 0.250
7 Pt 0.500 0.250 0.750
8 Pt 0.686 0.603 0.603
9 Pt 0.757 0.993 0.493
10 Pt 0.314 0.397 0.397
11 Pt 0.500 0.750 0.250
12 Pt 0.891 0.897 0.897
13 Pt 0.109 0.103 0.103
14 Pt 0.243 0.507 0.007
15 Pt 0.757 0.493 0.993
16 Pt 0.243 0.007 0.507